1.
CaHo2S4 | PBE | relaxed

abc: 8.3490 8.3490 8.3576
angles: 90.00 90.00 90.00
Space group I-42d (No. 122)
Symmetry-distinct sites (fractional):
Ca 0.0000 0.0000 0.0000
Ho 0.1270 0.2500 0.6250
S 0.0723 0.1776 0.3102

Its energy relative to the lowest polymorph listed for this composition is 28 kJ/mol of formula units. Its total DFT energy (no corrections) is -6.02 eV per atom. For the total magnetization, the calculation gives 0.00 μB/f.u. The piezoelectric modulus e_max is 0.52 C/m2. As for the formation energy: -1584 kJ/mol of formula units.

2.
Sm2ZrSe5 | PBE | relaxed

abc: 12.3044 8.2465 7.7114
angles: 90.00 90.00 90.00
Space group Pnma (No. 62)
Symmetry-distinct sites (fractional):
Sm 0.1788 0.0030 0.0235
Zr 0.0065 0.7500 0.5809
Se 0.0035 0.7500 0.9486
Se 0.0921 0.0382 0.6598
Se 0.1807 0.7500 0.3321
Se 0.2074 0.2500 0.3102

Its total DFT energy (no corrections) is -6.11 eV per atom. As for the formation energy: -1521 kJ/mol of formula units.

3.
Rb2ErCl5 | PBE | relaxed

abc: 9.5625 7.4357 14.9666
angles: 90.00 90.00 90.00
Space group Pnma (No. 62)
Symmetry-distinct sites (fractional):
Rb 0.0236 0.2500 0.2123
Rb 0.1641 0.7500 0.4167
Er 0.1789 0.7500 0.0654
Cl 0.0000 0.0000 0.0000
Cl 0.0191 0.7500 0.2040
Cl 0.1649 0.5067 0.6186
Cl 0.2125 0.2500 0.4038

Its total DFT energy (no corrections) is -4.13 eV per atom. As for the formation energy: -1962 kJ/mol of formula units.

4.
Cu16I19 | PBE | relaxed

abc: 7.3202 4.2524 67.0751
angles: 90.00 91.98 90.00
Space group Cm (No. 8)
Symmetry-distinct sites (fractional):
Cu 0.0000 0.0000 0.0000
Cu 0.0022 0.5000 0.5804
Cu 0.0287 0.0000 0.1591
Cu 0.0547 0.5000 0.7386
Cu 0.0813 0.0000 0.3172
Cu 0.1113 0.5000 0.8970
Cu 0.1336 0.0000 0.4752
Cu 0.1864 0.0000 0.6331
Cu 0.2127 0.5000 0.2120
Cu 0.2379 0.0000 0.7927
Cu 0.2651 0.5000 0.3699
Cu 0.3178 0.5000 0.5278
Cu 0.3460 0.0000 0.1053
Cu 0.3705 0.5000 0.6857
Cu 0.3971 0.0000 0.2646
Cu 0.4495 0.0000 0.4225
I 0.0103 0.0000 0.0370
I 0.0193 0.5000 0.6193
I 0.0455 0.0000 0.1986
I 0.0726 0.5000 0.7768
I 0.0980 0.0000 0.3563
I 0.1384 0.5000 0.9339
I 0.1508 0.0000 0.5141
I 0.1796 0.5000 0.0932
I 0.2035 0.0000 0.6719
I 0.2298 0.5000 0.2512
I 0.2713 0.0000 0.8294
I 0.2825 0.5000 0.4089
I 0.3343 0.0000 0.9849
I 0.3351 0.5000 0.5667
I 0.3614 0.0000 0.1460
I 0.3879 0.5000 0.7243
I 0.4140 0.0000 0.3037
I 0.4446 0.5000 0.8822
I 0.4665 0.0000 0.4615

Its total DFT energy (no corrections) is -2.83 eV per atom. For the total magnetization, the calculation gives 0.03 μB/f.u. As for the formation energy: -1119 kJ/mol of formula units.

5.
PrBiO3 | PBE | relaxed

abc: 4.4488 4.4488 4.4488
angles: 90.00 90.00 90.00
Space group Pm-3m (No. 221)
Symmetry-distinct sites (fractional):
Pr 0.0000 0.0000 0.0000
Bi 0.5000 0.5000 0.5000
O 0.0000 0.5000 0.5000

Its total DFT energy (no corrections) is -6.21 eV per atom. For the total magnetization, the calculation gives 0.00 μB/f.u. As for the formation energy: -928 kJ/mol of formula units.

6.
CaGa2Ni | PBE | relaxed

abc: 4.0784 10.3796 6.9817
angles: 90.00 90.00 90.00
Space group Cmcm (No. 63)
Symmetry-distinct sites (fractional):
Ca 0.0000 0.0568 0.2500
Ga 0.0000 0.3375 0.0563
Ni 0.0000 0.2175 0.7500

Its total DFT energy (no corrections) is -3.97 eV per atom. As for the formation energy: -195 kJ/mol of formula units.

7.
Eu2HgGe | PBE | relaxed

abc: 7.6415 7.6415 7.6415
angles: 90.00 90.00 90.00
Space group Fm-3m (No. 225)
Symmetry-distinct sites (fractional):
Eu 0.2500 0.2500 0.2500
Hg 0.0000 0.0000 0.0000
Ge 0.0000 0.0000 0.5000

Its total DFT energy (no corrections) is -6.98 eV per atom. For the total magnetization, the calculation gives 14.00 μB/f.u. As for the formation energy: -238 kJ/mol of formula units.

8.
CuH5C5NCl | PBE | relaxed

abc: 6.9167 7.7116 13.9159
angles: 90.00 112.49 90.00
Space group P2_1/c (No. 14)
Symmetry-distinct sites (fractional):
Cu 0.0262 0.1368 0.0892
H 0.0789 0.7211 0.7687
H 0.1075 0.5424 0.9233
H 0.2885 0.6332 0.3538
H 0.3101 0.0403 0.6071
H 0.4641 0.6975 0.5430
C 0.1756 0.7361 0.3472
C 0.1983 0.6622 0.9335
C 0.3631 0.6896 0.0339
C 0.4036 0.5771 0.1149
C 0.4275 0.0998 0.2898
N 0.2856 0.1134 0.2100
Cl 0.1191 0.1601 0.9474

Its total DFT energy (no corrections) is -5.96 eV per atom. For the total magnetization, the calculation gives 0.00 μB/f.u. As for the formation energy: -70 kJ/mol of formula units.

9.
Bi2Se | PBE | relaxed

abc: 4.2202 14.4354 12.0041
angles: 90.00 90.00 90.00
Space group Cmce (No. 64)
Symmetry-distinct sites (fractional):
Bi 0.0000 0.0020 0.1397
Bi 0.0000 0.1762 0.6261
Se 0.0000 0.1676 0.3961

Its energy relative to the lowest polymorph listed for this composition is 24 kJ/mol of formula units. Its total DFT energy (no corrections) is -3.83 eV per atom. For the total magnetization, the calculation gives 0.00 μB/f.u. As for the formation energy: -66 kJ/mol of formula units.

10.
MgZn3S4 | PBE | relaxed

abc: 6.3693 3.9004 6.7587
angles: 90.00 90.01 90.00
Space group Pm (No. 6)
Symmetry-distinct sites (fractional):
Mg 0.0000 0.0000 0.0000
Zn 0.4982 0.0000 0.6642
Zn 0.4980 0.5000 0.1683
Zn 0.9987 0.5000 0.4994
S 0.1259 0.0000 0.6575
S 0.1287 0.5000 0.1752
S 0.6130 0.0000 0.9991
S 0.6248 0.5000 0.5000

Its total DFT energy (no corrections) is -3.69 eV per atom. As for the formation energy: -929 kJ/mol of formula units.

11.
YSi2Rh2 | PBE | relaxed

abc: 4.0697 4.0697 10.0093
angles: 90.00 90.00 90.00
Space group I4/mmm (No. 139)
Symmetry-distinct sites (fractional):
Y 0.0000 0.0000 0.0000
Si 0.0000 0.0000 0.3782
Rh 0.0000 0.5000 0.2500

Its total DFT energy (no corrections) is -7.53 eV per atom. As for the formation energy: -542 kJ/mol of formula units.

12.
CaCu2As4O14 | PBE | relaxed

abc: 7.1198 8.8723 9.6924
angles: 90.00 106.16 90.00
Space group P2_1 (No. 4)
Symmetry-distinct sites (fractional):
Ca 0.2244 0.0000 0.2901
Cu 0.2795 0.0074 0.9294
Cu 0.2810 0.6155 0.4308
As 0.0796 0.3017 0.5038
As 0.0848 0.3210 0.0109
As 0.4584 0.2630 0.7814
As 0.4686 0.3600 0.2831
O 0.0825 0.3957 0.8529
O 0.0911 0.2104 0.3576
O 0.1336 0.4912 0.5200
O 0.1374 0.8349 0.9520
O 0.1409 0.7945 0.4533
O 0.1540 0.1320 0.0403
O 0.2380 0.2054 0.6569
O 0.2491 0.4225 0.1566
O 0.3369 0.8886 0.7866
O 0.3519 0.7378 0.2986
O 0.4652 0.1499 0.9268
O 0.4731 0.4765 0.4295
O 0.4819 0.1835 0.3449
O 0.4854 0.9418 0.1688

Its total DFT energy (no corrections) is -5.81 eV per atom. For the total magnetization, the calculation gives 0.00 μB/f.u. As for the formation energy: -3244 kJ/mol of formula units.

13.
Ca2B5ClO9 | PBE | relaxed

abc: 11.2766 11.4147 6.3463
angles: 90.00 90.00 90.00
Space group Pnn2 (No. 34)
Symmetry-distinct sites (fractional):
Ca 0.0370 0.2462 0.0000
Ca 0.2452 0.4675 0.6681
B 0.0125 0.7635 0.5420
B 0.1789 0.7265 0.3058
B 0.2095 0.1930 0.4788
B 0.2213 0.8054 0.6646
B 0.2480 0.5267 0.2066
Cl 0.0000 0.0000 0.0847
Cl 0.0000 0.5000 0.8480
O 0.0487 0.7361 0.3423
O 0.0923 0.7855 0.7009
O 0.1037 0.2350 0.6006
O 0.1903 0.7523 0.0828
O 0.2053 0.2103 0.2520
O 0.2178 0.6061 0.3627
O 0.2190 0.0620 0.5085
O 0.2430 0.4134 0.2749
O 0.2457 0.8130 0.4353

Its total DFT energy (no corrections) is -7.57 eV per atom. For the total magnetization, the calculation gives 0.00 μB/f.u. As for the formation energy: -4929 kJ/mol of formula units.